Entry 1:
Compound: Pr4In8Ni7
Source: the Materials Project
Functional: GGA-PBE
Structure: optimized geometry

Computed properties:
symmetry = Cmmm (65)
ΔE_f = -0.38 eV/atom

```
Pr4In8Ni7
1.0
7.3580 -12.0440 0.0000
7.3580 12.0440 0.0000
0.0000 0.0000 4.3568
Pr In Ni
8 16 14
Direct
0.1060 0.8940 0.0000 Pr
0.1513 0.5052 0.5000 Pr
0.3159 0.3159 0.5000 Pr
0.4948 0.8487 0.5000 Pr
0.5052 0.1513 0.5000 Pr
0.6841 0.6841 0.5000 Pr
0.8487 0.4948 0.5000 Pr
0.8940 0.1060 0.0000 Pr
0.0000 0.0000 0.5000 In
0.0577 0.6258 0.0000 In
0.1308 0.3187 0.0000 In
0.2228 0.7772 0.5000 In
0.3102 0.6898 0.0000 In
0.3187 0.1308 0.0000 In
0.3742 0.9423 0.0000 In
0.4135 0.5865 0.5000 In
0.5000 0.5000 0.0000 In
0.5865 0.4135 0.5000 In
0.6258 0.0577 0.0000 In
0.6813 0.8692 0.0000 In
0.6898 0.3102 0.0000 In
0.7772 0.2228 0.5000 In
0.8692 0.6813 0.0000 In
0.9423 0.3742 0.0000 In
0.0159 0.7083 0.5000 Ni
0.0892 0.1977 0.5000 Ni
0.1221 0.1221 0.0000 Ni
0.1977 0.0892 0.5000 Ni
0.2917 0.9841 0.5000 Ni
0.3098 0.4994 0.0000 Ni
0.4994 0.3098 0.0000 Ni
0.5006 0.6902 0.0000 Ni
0.6902 0.5006 0.0000 Ni
0.7083 0.0159 0.5000 Ni
0.8023 0.9108 0.5000 Ni
0.8779 0.8779 0.0000 Ni
0.9108 0.8023 0.5000 Ni
0.9841 0.2917 0.5000 Ni
```



Entry 2:
Compound: PrInNi
Source: the Materials Project
Functional: GGA-PBE
Structure: optimized geometry

Computed properties:
symmetry = P-62m (189)
ΔE_f = -0.44 eV/atom

```
PrInNi
1.0
7.6005 0.0000 0.0000
-3.8003 6.5822 0.0000
0.0000 0.0000 3.9892
Pr In Ni
3 3 3
Direct
0.0000 0.4125 0.0000 Pr
0.4125 0.0000 0.0000 Pr
0.5875 0.5875 0.0000 Pr
0.0000 0.7527 0.5000 In
0.2473 0.2473 0.5000 In
0.7527 0.0000 0.5000 In
0.0000 0.0000 0.0000 Ni
0.3333 0.6667 0.5000 Ni
0.6667 0.3333 0.5000 Ni
```



Entry 3:
Compound: Pu2InNi2
Source: the Materials Project
Functional: GGA-PBE
Structure: optimized geometry

Computed properties:
symmetry = P4/mbm (127)
ΔE_f = 0.44 eV/atom

```
Pu2InNi2
1.0
7.3246 0.0000 0.0000
0.0000 7.3246 0.0000
0.0000 0.0000 3.4815
Pu In Ni
4 2 4
Direct
0.1653 0.3347 0.0000 Pu
0.3347 0.8347 0.0000 Pu
0.6653 0.1653 0.0000 Pu
0.8347 0.6653 0.0000 Pu
0.0000 0.0000 0.5000 In
0.5000 0.5000 0.5000 In
0.1326 0.6326 0.5000 Ni
0.3674 0.1326 0.5000 Ni
0.6326 0.8674 0.5000 Ni
0.8674 0.3674 0.5000 Ni
```



Entry 4:
Compound: In2NiS4
Source: the Materials Project
Functional: GGA-PBE
Structure: optimized geometry

Computed properties:
symmetry = Fd-3m (227)
ΔE_f = -0.67 eV/atom

```
In2NiS4
1.0
0.0000 5.2835 5.2835
5.2835 0.0000 5.2835
5.2835 5.2835 0.0000
In Ni S
4 2 8
Direct
0.0000 0.0000 0.0000 In
0.0000 0.0000 0.5000 In
0.0000 0.5000 0.0000 In
0.5000 0.0000 0.0000 In
0.3750 0.3750 0.3750 Ni
0.6250 0.6250 0.6250 Ni
0.2503 0.2503 0.2503 S
0.2503 0.2503 0.7490 S
0.2503 0.7490 0.2503 S
0.2510 0.7497 0.7497 S
0.7490 0.2503 0.2503 S
0.7497 0.2510 0.7497 S
0.7497 0.7497 0.2510 S
0.7497 0.7497 0.7497 S
```



Entry 5:
Compound: In2NiS4
Source: the Materials Project
Functional: GGA-PBE
Structure: optimized geometry

Computed properties:
symmetry = Imma (74)
ΔE_f = -0.70 eV/atom

```
In2NiS4
1.0
-3.7031 3.8017 5.2431
3.7031 -3.8017 5.2431
3.7031 3.8017 -5.2431
In Ni S
4 2 8
Direct
0.0000 0.0000 0.0000 In
0.3848 0.6348 0.7500 In
0.5000 0.0000 0.5000 In
0.6152 0.3652 0.2500 In
0.0000 0.0000 0.5000 Ni
0.0000 0.5000 0.0000 Ni
0.2039 0.2483 0.9556 S
0.2073 0.7517 0.4556 S
0.2256 0.2173 0.4918 S
0.2256 0.7338 0.0082 S
0.7744 0.2662 0.9918 S
0.7744 0.7827 0.5082 S
0.7927 0.2483 0.5444 S
0.7961 0.7517 0.0444 S
```



Entry 6:
Compound: Sc5In4Ni2
Source: the Materials Project
Functional: GGA-PBE
Structure: optimized geometry

Computed properties:
symmetry = Pbam (55)
ΔE_f = -0.36 eV/atom

```
Sc5In4Ni2
1.0
8.0063 0.0000 0.0000
0.0000 18.6707 0.0000
0.0000 0.0000 3.6092
Sc In Ni
10 8 4
Direct
0.0000 0.0000 0.0000 Sc
0.1130 0.4050 0.0000 Sc
0.2404 0.7231 0.0000 Sc
0.2596 0.2231 0.0000 Sc
0.3870 0.9050 0.0000 Sc
0.5000 0.5000 0.0000 Sc
0.6130 0.0950 0.0000 Sc
0.7404 0.7769 0.0000 Sc
0.7596 0.2769 0.0000 Sc
0.8870 0.5950 0.0000 Sc
0.0718 0.8440 0.5000 In
0.1958 0.5694 0.5000 In
0.3042 0.0694 0.5000 In
0.4282 0.3440 0.5000 In
0.5718 0.6560 0.5000 In
0.6958 0.9306 0.5000 In
0.8042 0.4306 0.5000 In
0.9282 0.1560 0.5000 In
0.0343 0.3065 0.5000 Ni
0.4657 0.8065 0.5000 Ni
0.5343 0.1935 0.5000 Ni
0.9657 0.6935 0.5000 Ni
```



One value per record, in order, for calculated volume: 772.2, 199.6, 186.8, 295.0, 295.2, 539.5 Å³ per cell.
One value per record, in order, for DFT total energy: -177.45, -43.88, -81.31, -60.98, -61.46, -116.37 eV/cell.